Material: Na2Y4Nb4Si5S7O48
Method: DFT, PBE
State: optimized geometry

Structure (POSCAR):
```
Na2Y4Nb4Si5S7O48
1.0
18.1250 -0.0273 0.0008
-4.5431 7.8558 0.0063
0.0023 0.0195 23.6895
Si O S Na Nb Y
15 144 21 6 12 12
direct
0.5211 0.3747 0.9187
0.4760 0.3314 0.5846
0.1431 0.0063 0.2471
0.6423 0.2793 0.7475
0.4929 0.2880 0.2474
0.3319 0.6303 0.5848
0.9943 0.7031 0.7487
0.1508 0.2850 0.7498
0.6521 0.0199 0.2488
0.0198 0.6658 0.4187
0.9769 0.6224 0.0846
0.1672 0.9501 0.9160
0.1898 0.3441 0.0840
0.6896 0.0469 0.5853
0.8317 0.0318 0.0844
0.8962 0.8339 0.9110
0.3507 0.1689 0.7347
0.0682 0.6654 0.7603
0.5701 0.6917 0.7496
0.0707 0.6359 0.0724
0.0002 0.8054 0.6932
0.4085 0.8133 0.6059
0.3252 0.1239 0.4217
0.5853 0.9506 0.9201
0.5816 0.1687 0.6953
0.2240 0.2901 0.0320
0.5797 0.1996 0.4079
0.5684 0.6526 0.3682
0.9165 0.3048 0.2386
0.2395 0.3558 0.4245
0.0697 0.4487 0.2502
0.7574 0.1436 0.6374
0.9373 0.3501 0.9204
0.8948 0.9645 0.4208
0.2625 0.6832 0.9708
0.7751 0.6832 0.2508
0.7632 0.8662 0.3692
0.8433 0.5484 0.5317
0.2650 0.6578 0.8681
0.4098 0.0466 0.7968
0.3550 0.5332 0.2470
0.8988 0.7994 0.5876
0.0841 0.6751 0.4742
0.5706 0.6413 0.0743
0.9115 0.0398 0.8010
0.9251 0.5008 0.4223
0.7689 0.6901 0.9692
0.6499 0.4526 0.4679
0.0749 0.9563 0.9068
0.1842 0.8669 0.5733
0.8916 0.9883 0.6989
0.3531 0.5544 0.5311
0.7409 0.3603 0.1330
0.7475 0.6310 0.5716
0.5725 0.5050 0.5697
0.9223 0.5550 0.0289
0.1737 0.4706 0.7651
0.3214 0.5243 0.9254
0.0963 0.2059 0.6942
0.7277 0.3150 0.0310
0.3200 0.1265 0.1346
0.5196 0.8333 0.4100
0.9034 0.8137 0.1968
0.8531 0.1528 0.0315
0.4314 0.5426 0.0324
0.2734 0.6735 0.2633
0.2271 0.1388 0.5305
0.5929 0.0008 0.6022
0.6745 0.4758 0.3663
0.7224 0.1518 0.5291
0.2713 0.8495 0.4687
0.6017 0.1967 0.0868
0.4396 0.5266 0.4212
0.7445 0.2012 0.2413
0.0731 0.4536 0.9695
0.3934 0.7994 0.2005
0.5947 0.0400 0.3057
0.4276 0.3631 0.6378
0.0157 0.2005 0.9095
0.8521 0.1766 0.7449
0.9092 0.0048 0.1065
0.2574 0.3737 0.1382
0.4440 0.5181 0.1338
0.4245 0.2938 0.5276
0.6709 0.8749 0.2662
0.9790 0.8016 0.8057
0.4955 0.7950 0.0876
0.6793 0.8525 0.5715
0.4170 0.5295 0.7384
0.3960 0.8306 0.9199
0.9947 0.1941 0.5863
0.8161 0.5181 0.6328
0.5859 0.4933 0.9742
0.0939 0.1890 0.1028
0.4060 0.3024 0.2396
0.7386 0.2987 0.7319
0.4965 0.1798 0.5999
0.2397 0.1174 0.6324
0.4780 0.7738 0.7990
0.7396 0.1236 0.9245
0.4791 0.1539 0.3058
0.9442 0.3684 0.6336
0.2409 0.1441 0.9207
0.4061 0.9971 0.6956
0.9050 0.5120 0.7381
0.1770 0.8632 0.8615
0.5676 0.4792 0.8627
0.7607 0.8387 0.4712
0.0805 0.9936 0.1958
0.0706 0.4989 0.5739
0.8140 0.1330 0.1396
0.5708 0.4644 0.2650
0.6129 0.1695 0.8045
0.9769 0.1817 0.2994
0.9098 0.7739 0.2983
0.7324 0.3404 0.4219
0.7605 0.6529 0.8666
0.5195 0.1938 0.9226
0.5953 0.9858 0.1948
0.2472 0.6481 0.5697
0.7698 0.8726 0.7599
0.5021 0.1960 0.1940
0.1006 0.0042 0.5858
0.1764 0.4797 0.3675
0.2399 0.1788 0.2310
0.1594 0.8503 0.2484
0.6855 0.5018 0.0745
0.0659 0.4781 0.8671
0.3140 0.4939 0.6393
0.4158 0.7927 0.3025
0.4292 0.3575 0.9237
0.2488 0.8697 0.0770
0.3986 0.9618 0.4094
0.4003 0.0054 0.0905
0.8504 0.5312 0.2370
0.1559 0.8285 0.9734
0.9994 0.1890 0.1977
0.4998 0.8108 0.6972
0.9254 0.4924 0.1385
0.6590 0.4684 0.7476
0.0178 0.8432 0.4224
0.0852 0.2194 0.4201
0.0655 0.6512 0.3629
0.6648 0.8473 0.9706
0.7475 0.8460 0.0706
0.6764 0.8734 0.8674
0.1808 0.5123 0.0704
0.1647 0.4822 0.4706
0.2444 0.2885 0.7390
0.2764 0.8647 0.7474
0.3456 0.1423 0.0335
0.2618 0.8688 0.3663
0.1147 0.0577 0.3047
0.8166 0.1154 0.4251
0.9311 0.3210 0.5321
0.5764 0.6915 0.4698
0.9960 0.8138 0.1004
0.0969 0.1520 0.8059
0.8227 0.5243 0.9224
0.9938 0.2790 0.2466
0.8283 0.6232 0.5820
0.6895 0.3410 0.0814
0.3585 0.7024 0.2522
0.3604 0.0163 0.7440
0.1885 0.0371 0.5814
0.3289 0.0365 0.0830
0.4831 0.6219 0.0819
0.6610 0.3728 0.4164
0.9832 0.3431 0.5820
0.8605 0.7039 0.2452
0.5265 0.6774 0.4164
0.1666 0.3839 0.4188
0.6664 0.9493 0.9186
0.8126 0.6747 0.9161
0.4946 0.7103 0.7467
0.3100 0.6734 0.9203
0.8567 0.0112 0.7515
0.0246 0.3720 0.9157
0.8092 0.9466 0.4206
0.3136 0.9512 0.4161
0.8434 0.3506 0.3344
0.3305 0.3264 0.3307
0.4974 0.0078 0.9941
0.3326 0.3158 0.8430
0.8332 0.3366 0.8349
0.0011 0.9895 0.4955
0.5050 0.0170 0.3493
0.0109 0.9928 0.8533
0.8303 0.3259 0.6903
0.3295 0.3282 0.1859
0.0052 0.0007 0.1406
0.1586 0.6633 0.0233
0.3341 0.3487 0.6849
0.6684 0.6653 0.0207
0.6613 0.6702 0.5272
0.5034 0.0102 0.6414
0.1677 0.6710 0.5215
0.8331 0.3199 0.1831
0.6588 0.6441 0.8066
0.6705 0.6709 0.3053
0.0068 0.9913 0.3548
0.5028 0.0022 0.1482
0.1698 0.6741 0.8057
0.5046 0.0207 0.8555
0.0029 0.0041 0.6498
0.8298 0.3295 0.4808
0.1583 0.6730 0.3067
0.3403 0.3473 0.4845
0.3268 0.3258 0.9790
0.8411 0.3346 0.9840
```

- Total DFT energy (no corrections): -1557.36 eV/cell
- Calculated volume: 16.05 Å³ per atom
- ΔH_f (0 K): -2.71 eV per atom
- MP2020-corrected energy: -7.89 eV per atom